VZnSi4O10: relaxed, PBE with a Hubbard U.

Geometry as CIF:
```
data_VZnSi4O10
_cell_length_a 7.3478
_cell_length_b 7.3478
_cell_length_c 15.0341
_cell_angle_alpha 90.00
_cell_angle_beta 90.00
_cell_angle_gamma 90.00
_symmetry_space_group_name_H-M 'P 4/n c c'
_symmetry_Int_Tables_number 130
loop_
_symmetry_equiv_pos_as_xyz
'x,y,z'
'-x,-y,-z'
'-y+1/2,x,z'
'y+1/2,-x,-z'
'-x+1/2,-y+1/2,z'
'x+1/2,y+1/2,-z'
'y,-x+1/2,z'
'-y,x+1/2,-z'
'x+1/2,-y,-z+1/2'
'-x+1/2,y,z+1/2'
'-y,-x,-z+1/2'
'y,x,z+1/2'
'-x,y+1/2,-z+1/2'
'x,-y+1/2,z+1/2'
'y+1/2,x+1/2,-z+1/2'
'-y+1/2,-x+1/2,z+1/2'
loop_
_atom_site_label
_atom_site_fract_x
_atom_site_fract_y
_atom_site_fract_z
V1 0.2500 0.2500 0.0703
Zn1 0.2500 0.7500 0.0000
Si1 0.0110 0.5944 0.1461
O1 0.0038 0.1877 0.8722
O2 0.0222 0.6623 0.4243
O3 0.0612 0.5612 0.2500
```

spin magnetization = 12.07 Bohr magnetons per cell
formation enthalpy at 0 K = -2.840 eV/atom